Below is a relaxed RbCaCl3 crystal, with properties calculated at the meta-GGA r2SCAN level.

Computed properties:
ΔE_f in eV/atom: -2.480

Cell lengths 5.377, 5.377, 5.378 Å; angles 90.00, 90.04, 90.01 degrees
Space group P1 (No. 1)
Unique sites:
Rb (0.000, 0.000, 0.000) (multiplicity 1)
Ca (0.498, 0.498, 0.508) (multiplicity 1)
Cl (0.493, 0.494, 0.009) (multiplicity 1)
Cl (0.502, 0.998, 0.512) (multiplicity 1)
Cl (0.998, 0.500, 0.509) (multiplicity 1)